No. 1
Compound: Rb3Br2Cl
Source: the Materials Project database
Functional: PBE
Structure: optimized geometry

As for the crystal system: tetragonal. The total DFT energy (no corrections) comes out at -3.159 eV per atom. The value obtained for the mass density is 3021 kg/m³.

It has space group I4/mmm (No. 139), with a = 4.892 Å, b = 4.892 Å, c = 20.747 Å, α = 90.00°, β = 90.00° and γ = 90.00°. The distinct sites, in fractional coordinates, are Rb at (0.000, 0.000, 0.000), Rb at (0.000, 0.000, 0.335), Br at (0.000, 0.000, 0.167) and Cl at (0.000, 0.000, 0.500).

=====

No. 2
Compound: CuH12Br2O12
Source: the Materials Project database
Functional: PBE
Structure: optimized geometry

As for the crystal system: cubic. The total DFT energy (no corrections) comes out at -4.220 eV per atom. The value obtained for the mass density is 2407 kg/m³.

It has space group Pa-3 (No. 205), with a = 10.566 Å, b = 10.566 Å, c = 10.566 Å, α = 90.00°, β = 90.00° and γ = 90.00°. The distinct sites, in fractional coordinates, are Cu at (0.000, 0.000, 0.000), H at (0.096, 0.686, 0.104), H at (0.109, 0.227, 0.387), Br at (0.159, 0.659, 0.841), O at (0.016, 0.605, 0.643) and O at (0.133, 0.150, 0.343).

=====

No. 3
Compound: ThIn2Br6
Source: the Materials Project database
Functional: PBE
Structure: optimized geometry

As for the crystal system: monoclinic. The total DFT energy (no corrections) comes out at -3.798 eV per atom. The value obtained for the mass density is 5148 kg/m³.

It has space group C2/c (No. 15), with a = 8.910 Å, b = 14.905 Å, c = 9.144 Å, α = 90.00°, β = 91.00° and γ = 90.00°. The distinct sites, in fractional coordinates, are Th at (0.000, 0.061, 0.250), In at (0.012, 0.345, 0.003), Br at (0.019, 0.113, 0.944), Br at (0.195, 0.494, 0.265) and Br at (0.202, 0.223, 0.268).

=====

No. 4
Compound: PrIn5Ir
Source: the Materials Project database
Functional: PBE
Structure: optimized geometry

As for the crystal system: tetragonal. The total DFT energy (no corrections) comes out at -4.300 eV per atom. The value obtained for the mass density is 8839 kg/m³.

It has space group P4/mmm (No. 123), with a = 4.730 Å, b = 4.730 Å, c = 7.618 Å, α = 90.00°, β = 90.00° and γ = 90.00°. The distinct sites, in fractional coordinates, are Pr at (0.000, 0.000, 0.000), In at (0.000, 0.500, 0.305), In at (0.500, 0.500, 0.000) and Ir at (0.000, 0.000, 0.500).

=====

Q: Which of these has the highest mass density?
A: PrIn5Ir